Here is a relaxed structure of Li2Mn3O4F3 from Materials Project. Energies are from PBE with a Hubbard U.

Cell: 6.3926 6.5180 8.0111 Å, 104.38 112.74 102.15°
Last column: nearest neighbours and their distance in Å.
Sites, in units of the cell vectors:
O1 0.2511 0.4293 0.1551  3 Mn 1.94-2.05
O2 0.3764 0.1693 0.7359  2 Mn 1.88-1.95, 2 Li 2.02-2.07
O3 0.5143 0.6857 0.5673  3 Mn 1.95-2.05, 1 Li 2.18
O4 0.7565 0.5734 0.8601  3 Mn 1.92-2.05
O5 0.1676 0.9883 0.9835  3 Mn 1.92-2.06, 1 Li 2.08
O6 0.6487 0.4646 0.1326  3 Mn 1.94-2.06, 1 Li 2.14
O7 0.7765 0.0006 0.0169  2 Mn 1.90-2.02, 1 Li 2.03
O8 0.1049 0.2911 0.4289  2 Mn 1.86-1.89, 1 Li 1.99
Mn1 0.2949 0.2740 0.9356  4 O 1.88-2.06
Mn2 0.1312 0.1481 0.2099  4 O 1.86-2.05
Mn3 0.4192 0.4136 0.6399  4 O 1.89-2.05
Mn4 0.5860 0.5670 0.3516  3 O 1.94-1.97, 1 F 1.98
Mn5 0.7097 0.7343 0.0714  3 O 1.90-1.94, 1 F 1.98
Mn6 0.8410 0.8427 0.7800  3 O 1.92-2.05, 1 F 2.08
F1 0.8955 0.1434 0.7311  1 Li 2.01, 1 Mn 2.08
F2 0.9295 0.7068 0.5481  2 Mn 1.98-2.18, 1 Li 2.03
F3 0.3060 0.5777 0.8704  1 Li 2.02, 1 Mn 2.16
F4 0.5357 0.2605 0.4173  1 Li 1.96, 1 Mn 2.18
F5 0.6213 0.8729 0.2715  1 Mn 1.98, 2 Li 1.99-2.20
F6 0.1135 0.8480 0.2719  2 Li 1.98-2.00, 1 Mn 2.13
Li1 0.2279 0.7281 0.0809  3 F 2.00-2.20, 2 O 2.08-2.19
Li2 0.2390 0.8428 0.5382  2 F 1.98-2.03, 2 O 2.07-2.18
Li3 0.7283 0.2608 0.9278  4 O 2.02-2.22
Li4 0.8254 0.1771 0.4744  3 F 1.96-2.01, 1 O 1.99

As for the total magnetization: 7.999 μB/cell. The value obtained for the electronic total energy is -6.085 eV/atom. As for the space group: P1, No. 1. The calculation puts the formation energy at -25.32 eV/f.u.